No. 1
# N

N after structural relaxation (meta-GGA r2SCAN, Materials Project).

Lattice parameters (Å, degrees): 5.5605 5.5605 5.5605 90.00 90.00 90.00
Positions (direct):
N 0.9426 0.5574 0.4426
N 0.0574 0.4426 0.5574
N 0.0574 0.0574 0.0574
N 0.4426 0.9426 0.5574
N 0.5574 0.0574 0.4426
N 0.5574 0.4426 0.9426
N 0.9426 0.9426 0.9426
N 0.4426 0.5574 0.0574

Results
total magnetization	0.00	μB/cell

=====

No. 2
# Zr2Cd

Zr2Cd after structural relaxation (meta-GGA r2SCAN, Materials Project).

Lattice parameters (Å, degrees): 3.0905 3.0905 7.3305 102.10 102.10 90.16
Positions (direct):
Cd 0.0000 0.0000 0.0001
Zr 0.6691 0.6691 0.3377
Zr 0.3309 0.3309 0.6622

Results
total magnetization	0.00	μB/cell

=====

No. 3
# Ba2SiO4

Ba2SiO4 after structural relaxation (meta-GGA r2SCAN, Materials Project).

Lattice parameters (Å, degrees): 5.8278 7.5594 10.2839 90.00 90.00 90.00
Positions (direct):
O 0.0198 0.8065 0.8491
O 0.5198 0.1935 0.1509
O 0.9802 0.1935 0.1509
O 0.2500 0.0127 0.5839
O 0.7500 0.1927 0.9303
O 0.2500 0.8073 0.0697
O 0.5198 0.6935 0.3491
O 0.2500 0.3073 0.4303
O 0.7500 0.4873 0.0839
O 0.0198 0.3065 0.6509
O 0.7500 0.6927 0.5697
O 0.9802 0.6935 0.3491
O 0.4802 0.3065 0.6509
O 0.4802 0.8065 0.8491
O 0.7500 0.9873 0.4161
O 0.2500 0.5127 0.9161
Ba 0.7500 0.5081 0.8063
Ba 0.7500 0.3398 0.4149
Ba 0.7500 0.0081 0.6937
Ba 0.2500 0.4919 0.1937
Ba 0.7500 0.8398 0.0851
Ba 0.2500 0.1602 0.9149
Ba 0.2500 0.9919 0.3063
Ba 0.2500 0.6602 0.5851
Si 0.2500 0.2283 0.5801
Si 0.2500 0.7283 0.9199
Si 0.7500 0.7717 0.4199
Si 0.7500 0.2717 0.0801

Results
total magnetization	0.00	μB/cell

=====

No. 4
# Na3LuBr6

Na3LuBr6 after structural relaxation (meta-GGA r2SCAN, Materials Project).

Lattice parameters (Å, degrees): 7.6310 7.1031 12.7157 56.77 90.00 90.00
Positions (direct):
Na 0.5000 0.5000 0.0000
Na 0.0889 0.7060 0.7603
Na 0.0000 0.5000 0.5000
Na 0.9111 0.2940 0.2397
Na 0.4111 0.7060 0.2603
Na 0.5889 0.2940 0.7397
Lu 0.5000 0.0000 0.5000
Lu 0.0000 0.0000 0.0000
Br 0.3035 0.2451 0.9214
Br 0.6779 0.3801 0.4349
Br 0.4417 0.9052 0.7376
Br 0.0583 0.9052 0.2376
Br 0.6965 0.7549 0.0786
Br 0.3221 0.6199 0.5651
Br 0.8221 0.3801 0.9349
Br 0.5583 0.0948 0.2624
Br 0.9417 0.0948 0.7624
Br 0.8035 0.7549 0.5786
Br 0.1965 0.2451 0.4214
Br 0.1779 0.6199 0.0651

Results
total magnetization	0.00	μB/cell

=====

no.,energy relative to the elements (eV per atom)
1,0.002
2,-0.136
3,-3.225
4,-1.930